First-principles (PBE-GGA) data for crystalline CdI2 at its relaxed geometry, as listed in Materials Project.

a b c (Å): 4.330 4.330 37.053
angles (deg): 90.00 90.00 120.00
Sites, in units of the cell vectors:
Cd  0.000  0.000  0.000
Cd  0.000  0.000  0.400
Cd  0.000  0.000  0.600
Cd  0.333  0.667  0.200
Cd  0.667  0.333  0.800
I  0.000  0.000  0.247
I  0.000  0.000  0.753
I  0.333  0.667  0.047
I  0.333  0.667  0.447
I  0.333  0.667  0.647
I  0.333  0.667  0.847
I  0.667  0.333  0.153
I  0.667  0.333  0.353
I  0.667  0.333  0.553
I  0.667  0.333  0.953

## Properties
The total energy comes out at -1.91 eV per atom.

First-principles (PBE-GGA) data for crystalline CdI2 at its relaxed geometry, as listed in Materials Project.

a b c (Å): 4.329 4.329 37.126
angles (deg): 90.00 90.00 120.00
Sites, in units of the cell vectors:
Cd  0.000  0.000  0.000
Cd  0.000  0.000  0.200
Cd  0.000  0.000  0.600
Cd  0.667  0.333  0.400
Cd  0.667  0.333  0.800
I  0.000  0.000  0.353
I  0.000  0.000  0.754
I  0.333  0.667  0.047
I  0.333  0.667  0.247
I  0.333  0.667  0.447
I  0.333  0.667  0.647
I  0.333  0.667  0.847
I  0.667  0.333  0.153
I  0.667  0.333  0.553
I  0.667  0.333  0.953

## Properties
The total energy comes out at -1.91 eV per atom.

First-principles (PBE-GGA) data for crystalline CdI2 at its relaxed geometry, as listed in Materials Project.

a b c (Å): 4.332 4.332 52.210
angles (deg): 90.00 90.00 120.00
Sites, in units of the cell vectors:
Cd  0.000  0.000  0.000
Cd  0.000  0.000  0.143
Cd  0.000  0.000  0.286
Cd  0.000  0.000  0.428
Cd  0.000  0.000  0.714
Cd  0.667  0.333  0.571
Cd  0.667  0.333  0.857
I  0.000  0.000  0.538
I  0.000  0.000  0.824
I  0.333  0.667  0.033
I  0.333  0.667  0.176
I  0.333  0.667  0.319
I  0.333  0.667  0.462
I  0.333  0.667  0.604
I  0.333  0.667  0.747
I  0.333  0.667  0.890
I  0.667  0.333  0.110
I  0.667  0.333  0.253
I  0.667  0.333  0.395
I  0.667  0.333  0.681
I  0.667  0.333  0.967

## Properties
The total energy comes out at -1.91 eV per atom.

First-principles (PBE-GGA) data for crystalline CdI2 at its relaxed geometry, as listed in Materials Project.

a b c (Å): 4.333 4.333 74.398
angles (deg): 90.00 90.00 120.00
Sites, in units of the cell vectors:
Cd  0.000  0.000  0.000
Cd  0.000  0.000  0.100
Cd  0.000  0.000  0.300
Cd  0.000  0.000  0.500
Cd  0.000  0.000  0.700
Cd  0.667  0.333  0.200
Cd  0.667  0.333  0.400
Cd  0.667  0.333  0.600
Cd  0.667  0.333  0.800
Cd  0.667  0.333  0.900
I  0.000  0.000  0.177
I  0.000  0.000  0.377
I  0.000  0.000  0.577
I  0.000  0.000  0.777
I  0.000  0.000  0.877
I  0.333  0.667  0.023
I  0.333  0.667  0.123
I  0.333  0.667  0.223
I  0.333  0.667  0.323
I  0.333  0.667  0.423
I  0.333  0.667  0.523
I  0.333  0.667  0.623
I  0.333  0.667  0.723
I  0.333  0.667  0.823
I  0.333  0.667  0.923
I  0.667  0.333  0.077
I  0.667  0.333  0.277
I  0.667  0.333  0.477
I  0.667  0.333  0.677
I  0.667  0.333  0.977

## Properties
The total energy comes out at -1.91 eV per atom.

First-principles (PBE-GGA) data for crystalline CdI2 at its relaxed geometry, as listed in Materials Project.

a b c (Å): 4.345 4.345 80.928
angles (deg): 90.00 90.00 120.00
Sites, in units of the cell vectors:
Cd  0.000  0.000  0.000
Cd  0.000  0.000  0.091
Cd  0.000  0.000  0.273
Cd  0.000  0.000  0.364
Cd  0.000  0.000  0.545
Cd  0.000  0.000  0.727
Cd  0.333  0.667  0.182
Cd  0.333  0.667  0.455
Cd  0.333  0.667  0.636
Cd  0.333  0.667  0.818
Cd  0.333  0.667  0.909
I  0.000  0.000  0.203
I  0.000  0.000  0.476
I  0.000  0.000  0.658
I  0.000  0.000  0.840
I  0.000  0.000  0.930
I  0.333  0.667  0.021
I  0.333  0.667  0.112
I  0.333  0.667  0.294
I  0.333  0.667  0.385
I  0.333  0.667  0.567
I  0.333  0.667  0.749
I  0.667  0.333  0.070
I  0.667  0.333  0.160
I  0.667  0.333  0.251
I  0.667  0.333  0.342
I  0.667  0.333  0.433
I  0.667  0.333  0.524
I  0.667  0.333  0.615
I  0.667  0.333  0.706
I  0.667  0.333  0.797
I  0.667  0.333  0.888
I  0.667  0.333  0.979

## Properties
The total energy comes out at -1.91 eV per atom.

First-principles (PBE-GGA) data for crystalline CdI2 at its relaxed geometry, as listed in Materials Project.

a b c (Å): 4.334 4.334 127.154
angles (deg): 90.00 90.00 120.00
Sites, in units of the cell vectors:
Cd  0.000  0.000  0.000
Cd  0.000  0.000  0.059
Cd  0.000  0.000  0.118
Cd  0.000  0.000  0.176
Cd  0.000  0.000  0.235
Cd  0.000  0.000  0.294
Cd  0.000  0.000  0.353
Cd  0.000  0.000  0.412
Cd  0.000  0.000  0.471
Cd  0.000  0.000  0.529
Cd  0.000  0.000  0.647
Cd  0.000  0.000  0.765
Cd  0.000  0.000  0.882
Cd  0.667  0.333  0.588
Cd  0.667  0.333  0.706
Cd  0.667  0.333  0.824
Cd  0.667  0.333  0.941
I  0.000  0.000  0.575
I  0.000  0.000  0.692
I  0.000  0.000  0.810
I  0.000  0.000  0.928
I  0.333  0.667  0.014
I  0.333  0.667  0.072
I  0.333  0.667  0.131
I  0.333  0.667  0.190
I  0.333  0.667  0.249
I  0.333  0.667  0.308
I  0.333  0.667  0.366
I  0.333  0.667  0.425
I  0.333  0.667  0.484
I  0.333  0.667  0.543
I  0.333  0.667  0.602
I  0.333  0.667  0.661
I  0.333  0.667  0.719
I  0.333  0.667  0.778
I  0.333  0.667  0.837
I  0.333  0.667  0.896
I  0.333  0.667  0.955
I  0.667  0.333  0.045
I  0.667  0.333  0.104
I  0.667  0.333  0.163
I  0.667  0.333  0.222
I  0.667  0.333  0.281
I  0.667  0.333  0.339
I  0.667  0.333  0.398
I  0.667  0.333  0.457
I  0.667  0.333  0.516
I  0.667  0.333  0.633
I  0.667  0.333  0.751
I  0.667  0.333  0.869
I  0.667  0.333  0.986

## Properties
The total energy comes out at -1.91 eV per atom.

First-principles (PBE-GGA) data for crystalline CdI2 at its relaxed geometry, as listed in Materials Project.

a b c (Å): 4.344 4.344 80.957
angles (deg): 90.00 90.00 120.00
Sites, in units of the cell vectors:
Cd  0.000  0.000  0.000
Cd  0.000  0.000  0.091
Cd  0.000  0.000  0.182
Cd  0.000  0.000  0.364
Cd  0.000  0.000  0.545
Cd  0.000  0.000  0.636
Cd  0.000  0.000  0.818
Cd  0.667  0.333  0.273
Cd  0.667  0.333  0.455
Cd  0.667  0.333  0.727
Cd  0.667  0.333  0.909
I  0.000  0.000  0.251
I  0.000  0.000  0.433
I  0.000  0.000  0.706
I  0.000  0.000  0.888
I  0.333  0.667  0.021
I  0.333  0.667  0.112
I  0.333  0.667  0.203
I  0.333  0.667  0.294
I  0.333  0.667  0.385
I  0.333  0.667  0.476
I  0.333  0.667  0.567
I  0.333  0.667  0.658
I  0.333  0.667  0.749
I  0.333  0.667  0.840
I  0.333  0.667  0.930
I  0.667  0.333  0.070
I  0.667  0.333  0.160
I  0.667  0.333  0.342
I  0.667  0.333  0.524
I  0.667  0.333  0.615
I  0.667  0.333  0.797
I  0.667  0.333  0.979

## Properties
The total energy comes out at -1.91 eV per atom.

First-principles (PBE-GGA) data for crystalline CdI2 at its relaxed geometry, as listed in Materials Project.

a b c (Å): 4.332 4.332 74.390
angles (deg): 90.00 90.00 120.00
Sites, in units of the cell vectors:
Cd  0.000  0.000  0.000
Cd  0.000  0.000  0.100
Cd  0.000  0.000  0.200
Cd  0.000  0.000  0.300
Cd  0.000  0.000  0.400
Cd  0.000  0.000  0.600
Cd  0.000  0.000  0.700
Cd  0.000  0.000  0.800
Cd  0.667  0.333  0.500
Cd  0.667  0.333  0.900
I  0.000  0.000  0.477
I  0.000  0.000  0.877
I  0.333  0.667  0.023
I  0.333  0.667  0.123
I  0.333  0.667  0.223
I  0.333  0.667  0.323
I  0.333  0.667  0.423
I  0.333  0.667  0.523
I  0.333  0.667  0.623
I  0.333  0.667  0.723
I  0.333  0.667  0.823
I  0.333  0.667  0.923
I  0.667  0.333  0.077
I  0.667  0.333  0.177
I  0.667  0.333  0.277
I  0.667  0.333  0.377
I  0.667  0.333  0.577
I  0.667  0.333  0.677
I  0.667  0.333  0.777
I  0.667  0.333  0.977

## Properties
The total energy comes out at -1.91 eV per atom.

First-principles (PBE-GGA) data for crystalline CdI2 at its relaxed geometry, as listed in Materials Project.

a b c (Å): 4.332 4.332 44.457
angles (deg): 90.00 90.00 120.00
Sites, in units of the cell vectors:
Cd  0.000  0.000  0.083
Cd  0.000  0.000  0.417
Cd  0.000  0.000  0.583
Cd  0.000  0.000  0.917
Cd  0.333  0.667  0.250
Cd  0.667  0.333  0.750
I  0.000  0.000  0.289
I  0.000  0.000  0.711
I  0.333  0.667  0.122
I  0.333  0.667  0.456
I  0.333  0.667  0.622
I  0.333  0.667  0.789
I  0.333  0.667  0.955
I  0.667  0.333  0.045
I  0.667  0.333  0.211
I  0.667  0.333  0.378
I  0.667  0.333  0.544
I  0.667  0.333  0.878

## Properties
The total energy comes out at -1.91 eV per atom.

First-principles (PBE-GGA) data for crystalline CdI2 at its relaxed geometry, as listed in Materials Project.

a b c (Å): 4.331 4.331 59.399
angles (deg): 90.00 90.00 120.00
Sites, in units of the cell vectors:
Cd  0.000  0.000  0.000
Cd  0.000  0.000  0.125
Cd  0.000  0.000  0.375
Cd  0.000  0.000  0.500
Cd  0.000  0.000  0.750
Cd  0.667  0.333  0.250
Cd  0.667  0.333  0.625
Cd  0.667  0.333  0.875
I  0.000  0.000  0.221
I  0.000  0.000  0.596
I  0.000  0.000  0.846
I  0.333  0.667  0.029
I  0.333  0.667  0.154
I  0.333  0.667  0.279
I  0.333  0.667  0.404
I  0.333  0.667  0.529
I  0.333  0.667  0.654
I  0.333  0.667  0.779
I  0.333  0.667  0.904
I  0.667  0.333  0.096
I  0.667  0.333  0.346
I  0.667  0.333  0.471
I  0.667  0.333  0.721
I  0.667  0.333  0.971

## Properties
The total energy comes out at -1.91 eV per atom.

First-principles (PBE-GGA) data for crystalline CdI2 at its relaxed geometry, as listed in Materials Project.

a b c (Å): 4.345 4.345 110.582
angles (deg): 90.00 90.00 120.00
Sites, in units of the cell vectors:
Cd  0.000  0.000  0.000
Cd  0.000  0.000  0.067
Cd  0.000  0.000  0.133
Cd  0.000  0.000  0.200
Cd  0.000  0.000  0.267
Cd  0.000  0.000  0.333
Cd  0.000  0.000  0.400
Cd  0.000  0.000  0.533
Cd  0.000  0.000  0.600
Cd  0.000  0.000  0.667
Cd  0.000  0.000  0.733
Cd  0.000  0.000  0.800
Cd  0.000  0.000  0.867
Cd  0.333  0.667  0.467
Cd  0.333  0.667  0.933
I  0.000  0.000  0.451
I  0.000  0.000  0.918
I  0.333  0.667  0.051
I  0.333  0.667  0.118
I  0.333  0.667  0.184
I  0.333  0.667  0.251
I  0.333  0.667  0.318
I  0.333  0.667  0.384
I  0.333  0.667  0.518
I  0.333  0.667  0.584
I  0.333  0.667  0.651
I  0.333  0.667  0.718
I  0.333  0.667  0.784
I  0.333  0.667  0.851
I  0.333  0.667  0.984
I  0.667  0.333  0.016
I  0.667  0.333  0.082
I  0.667  0.333  0.149
I  0.667  0.333  0.216
I  0.667  0.333  0.282
I  0.667  0.333  0.349
I  0.667  0.333  0.416
I  0.667  0.333  0.482
I  0.667  0.333  0.549
I  0.667  0.333  0.616
I  0.667  0.333  0.682
I  0.667  0.333  0.749
I  0.667  0.333  0.816
I  0.667  0.333  0.882
I  0.667  0.333  0.949

## Properties
The total energy comes out at -1.91 eV per atom.